# 1
First-principles (PBE) data for a relaxed structure of BaSrCuCO4, as listed in Materials Project.

Cell: 6.3109 6.3849 6.8316 Å, 76.28 86.85 81.54°
Space group P1 (No. 1)
Symmetry-distinct sites (fractional):
Ba  0.0000  0.0000  0.0000 (multiplicity 1)
Ba  0.0652  0.2821  0.4421 (multiplicity 1)
Sr  0.4556  0.5547  0.0004 (multiplicity 1)
Sr  0.5464  0.7455  0.4959 (multiplicity 1)
Cu  0.1092  0.7161  0.5554 (multiplicity 1)
Cu  0.5261  0.1134  0.7721 (multiplicity 1)
C  0.4061  0.1070  0.2083 (multiplicity 1)
C  0.4977  0.0654  0.0506 (multiplicity 1)
O  0.1816  0.6675  0.2839 (multiplicity 1)
O  0.2621  0.8658  0.7243 (multiplicity 1)
O  0.2954  0.4559  0.6848 (multiplicity 1)
O  0.4436  0.3491  0.5480 (multiplicity 1)
O  0.7730  0.9308  0.6892 (multiplicity 1)
O  0.7877  0.4309  0.8006 (multiplicity 1)
O  0.8578  0.4638  0.9948 (multiplicity 1)
O  0.8659  0.9231  0.4818 (multiplicity 1)

# 2
First-principles (PBE) data for a relaxed structure of Sr2GdCu2IrO8, as listed in Materials Project.

Cell: 11.8650 5.4890 5.4756 Å, 90.00 90.00 90.00°
Space group Amm2 (No. 38)
Symmetry-distinct sites (fractional):
Sr  0.1947  0.0000  0.0000 (multiplicity 4)
Gd  0.5000  0.0000  0.9940 (multiplicity 2)
Cu  0.3590  0.0000  0.4945 (multiplicity 4)
Ir  0.0000  0.0000  0.4828 (multiplicity 2)
O  0.0000  0.2341  0.2127 (multiplicity 4)
O  0.1711  0.0000  0.4893 (multiplicity 4)
O  0.3743  0.2503  0.2446 (multiplicity 8)

# 3
First-principles (PBE) data for a relaxed structure of Eu2Si4IrPd3, as listed in Materials Project.

Cell: 4.2155 4.2155 10.1630 Å, 90.00 90.00 90.00°
Space group P-4m2 (No. 115)
Symmetry-distinct sites (fractional):
Eu  0.0000  0.5000  0.2500 (multiplicity 2)
Si  0.0000  0.5000  0.6269 (multiplicity 2)
Si  0.0000  0.5000  0.8708 (multiplicity 2)
Ir  0.0000  0.0000  0.5000 (multiplicity 1)
Pd  0.0000  0.0000  0.0000 (multiplicity 1)
Pd  0.5000  0.5000  0.0000 (multiplicity 1)
Pd  0.5000  0.5000  0.5000 (multiplicity 1)

# 4
First-principles (PBE) data for a relaxed structure of Tl2Co3NiSe4, as listed in Materials Project.

Cell: 5.4517 13.7392 5.4487 Å, 90.00 90.00 90.00°
Space group C222 (No. 21)
Symmetry-distinct sites (fractional):
Tl  0.2500  0.2500  0.2491 (multiplicity 4)
Co  0.0000  0.0000  0.0000 (multiplicity 2)
Co  0.0000  0.5000  0.0000 (multiplicity 2)
Co  0.0000  0.5000  0.5000 (multiplicity 2)
Ni  0.0000  0.0000  0.5000 (multiplicity 2)
Se  0.2459  0.4015  0.7542 (multiplicity 8)

# 5
First-principles (PBE) data for a relaxed structure of Ba3AlAs3, as listed in Materials Project.

Cell: 20.1376 6.9318 13.5093 Å, 90.00 90.00 90.00°
Space group Cmce (No. 64)
Symmetry-distinct sites (fractional):
Ba  0.0000  0.1695  0.1531 (multiplicity 8)
Ba  0.1763  0.1880  0.8700 (multiplicity 16)
Al  0.0827  0.0000  0.5000 (multiplicity 8)
As  0.0000  0.2029  0.4039 (multiplicity 8)
As  0.1559  0.1910  0.6178 (multiplicity 16)

# 6
First-principles (PBE) data for a relaxed structure of Lu5In3, as listed in Materials Project.

Cell: 15.3632 8.8565 6.5006 Å, 90.00 90.00 90.00°
Space group Cmcm (No. 63)
Symmetry-distinct sites (fractional):
Lu  0.0000  0.2491  0.2500 (multiplicity 4)
Lu  0.1246  0.1246  0.7500 (multiplicity 8)
Lu  0.1667  0.5000  0.0000 (multiplicity 8)
In  0.0000  0.3927  0.7500 (multiplicity 4)
In  0.1963  0.1963  0.2500 (multiplicity 8)

# 7
First-principles (PBE) data for a relaxed structure of Cu3NiPbSe4, as listed in Materials Project.

Cell: 5.9130 5.9130 5.9130 Å, 90.00 90.00 90.00°
Space group P-43m (No. 215)
Symmetry-distinct sites (fractional):
Cu  0.0000  0.0000  0.5000 (multiplicity 3)
Ni  0.0000  0.0000  0.0000 (multiplicity 1)
Pb  0.5000  0.5000  0.5000 (multiplicity 1)
Se  0.2278  0.2278  0.2278 (multiplicity 4)

# 8
First-principles (PBE) data for a relaxed structure of LaAl3, as listed in Materials Project.

Cell: 6.6440 6.6440 4.6723 Å, 90.00 90.00 120.00°
Space group P6_3/mmc (No. 194)
Symmetry-distinct sites (fractional):
La  0.3333  0.6667  0.2500 (multiplicity 2)
Al  0.1383  0.2767  0.7500 (multiplicity 6)

# 9
First-principles (PBE) data for a relaxed structure of Li2TiSn3P6O24, as listed in Materials Project.

Cell: 8.7208 8.7208 21.8971 Å, 90.00 90.00 120.00°
Space group R3 (No. 146, hexagonal axes)
Symmetry-distinct sites (fractional):
Li  0.0000  0.0000  0.0000 (multiplicity 3)
Li  0.0000  0.0000  0.4966 (multiplicity 3)
Ti  0.0000  0.0000  0.3553 (multiplicity 3)
Sn  0.0000  0.0000  0.1450 (multiplicity 3)
Sn  0.0000  0.0000  0.6449 (multiplicity 3)
Sn  0.0000  0.0000  0.8563 (multiplicity 3)
P  0.9997  0.2919  0.2507 (multiplicity 9)
P  0.0381  0.6687  0.4163 (multiplicity 9)
O  0.0125  0.2080  0.1906 (multiplicity 9)
O  0.0173  0.8349  0.4129 (multiplicity 9)
O  0.0201  0.8121  0.6922 (multiplicity 9)
O  0.0295  0.1907  0.9200 (multiplicity 9)
O  0.1445  0.6901  0.4750 (multiplicity 9)
O  0.1506  0.4786  0.9735 (multiplicity 9)
O  0.1642  0.6817  0.7496 (multiplicity 9)
O  0.1650  0.4794  0.2500 (multiplicity 9)

# 10
First-principles (PBE) data for a relaxed structure of V3Si, as listed in Materials Project.

Cell: 4.7024 4.7024 4.7024 Å, 90.00 90.00 90.00°
Space group Pm-3n (No. 223)
Symmetry-distinct sites (fractional):
V  0.0000  0.2500  0.5000 (multiplicity 6)
Si  0.0000  0.0000  0.0000 (multiplicity 2)

# 11
First-principles (PBE) data for a relaxed structure of SrMgSn, as listed in Materials Project.

Cell: 8.2353 4.9027 8.9419 Å, 90.00 90.00 90.00°
Space group Pnma (No. 62)
Symmetry-distinct sites (fractional):
Sr  0.0113  0.2500  0.1882 (multiplicity 4)
Mg  0.1464  0.2500  0.5669 (multiplicity 4)
Sn  0.2225  0.7500  0.3916 (multiplicity 4)

# 12
First-principles (PBE) data for a relaxed structure of La2Mn17C2, as listed in Materials Project.

Cell: 9.6608 8.7924 6.4865 Å, 90.00 98.54 90.00°
Space group C2/m (No. 12)
Symmetry-distinct sites (fractional):
La  0.1386  0.0000  0.3393 (multiplicity 4)
Mn  0.0000  0.2358  0.0000 (multiplicity 4)
Mn  0.0000  0.5000  0.5000 (multiplicity 2)
Mn  0.0935  0.5000  0.9057 (multiplicity 4)
Mn  0.1031  0.2690  0.6636 (multiplicity 8)
Mn  0.1448  0.3631  0.2813 (multiplicity 8)
Mn  0.1587  0.0000  0.8709 (multiplicity 4)
Mn  0.2500  0.2500  0.0000 (multiplicity 4)
C  0.2500  0.2500  0.5000 (multiplicity 4)

# 13
First-principles (PBE) data for a relaxed structure of EuZr2SnO6, as listed in Materials Project.

Cell: 8.1756 8.2352 4.2282 Å, 90.00 90.00 90.00°
Space group Cmmm (No. 65)
Symmetry-distinct sites (fractional):
Eu  0.0000  0.0000  0.0000 (multiplicity 2)
Zr  0.2500  0.2500  0.5000 (multiplicity 4)
Sn  0.0000  0.5000  0.0000 (multiplicity 2)
O  0.0000  0.1833  0.5000 (multiplicity 4)
O  0.1865  0.5000  0.5000 (multiplicity 4)
O  0.2500  0.2500  0.0000 (multiplicity 4)

# 14
First-principles (PBE) data for a relaxed structure of Li6CuB4O10, as listed in Materials Project.

Cell: 4.8982 9.3536 14.1913 Å, 104.73 97.08 93.98°
Space group P-1 (No. 2)
Symmetry-distinct sites (fractional):
Li  0.0051  0.0972  0.3040 (multiplicity 2)
Li  0.0635  0.9335  0.8972 (multiplicity 2)
Li  0.1152  0.3256  0.1863 (multiplicity 2)
Li  0.1340  0.0667  0.5876 (multiplicity 2)
Li  0.1636  0.3575  0.0120 (multiplicity 2)
Li  0.2870  0.5564  0.8672 (multiplicity 2)
Li  0.4132  0.4166  0.6862 (multiplicity 2)
Li  0.4343  0.1234  0.4693 (multiplicity 2)
Li  0.4584  0.6940  0.6839 (multiplicity 2)
Cu  0.1981  0.1824  0.8303 (multiplicity 2)
Cu  0.5000  0.5000  0.5000 (multiplicity 1)
B  0.0400  0.5010  0.3526 (multiplicity 2)
B  0.0880  0.7250  0.5050 (multiplicity 2)
B  0.2241  0.6068  0.1688 (multiplicity 2)
B  0.2966  0.8413  0.3164 (multiplicity 2)
B  0.3299  0.8161  0.0198 (multiplicity 2)
B  0.4193  0.0481  0.1687 (multiplicity 2)
O  0.0275  0.1477  0.4581 (multiplicity 2)
O  0.0307  0.3711  0.8754 (multiplicity 2)
O  0.0385  0.8852  0.2946 (multiplicity 2)
O  0.0600  0.3775  0.5817 (multiplicity 2)
O  0.1444  0.7506  0.9376 (multiplicity 2)
O  0.1483  0.5738  0.7265 (multiplicity 2)
O  0.2637  0.9549  0.0790 (multiplicity 2)
O  0.2790  0.1571  0.2189 (multiplicity 2)
O  0.3083  0.4682  0.3668 (multiplicity 2)
O  0.3127  0.9735  0.8024 (multiplicity 2)
O  0.3347  0.4760  0.1423 (multiplicity 2)
O  0.3391  0.6946  0.5469 (multiplicity 2)
O  0.3820  0.7159  0.2510 (multiplicity 2)
O  0.4352  0.2431  0.9547 (multiplicity 2)
O  0.4699  0.9110  0.3999 (multiplicity 2)

Calculated values
Energy above the most stable polymorph in this dataset   0.0009 eV per atom

# 15
First-principles (PBE) data for a relaxed structure of ErNi2B2, as listed in Materials Project.

Cell: 8.3769 5.2139 6.8825 Å, 90.00 126.94 90.00°
Space group C2/c (No. 15)
Symmetry-distinct sites (fractional):
Er  0.0000  0.1184  0.2500 (multiplicity 4)
Ni  0.1281  0.4056  0.7002 (multiplicity 8)
B  0.1700  0.3261  0.0224 (multiplicity 8)

# 16
First-principles (PBE) data for a relaxed structure of Er2ZnIn, as listed in Materials Project.

Cell: 7.2886 7.2886 7.2886 Å, 90.00 90.00 90.00°
Space group Fm-3m (No. 225)
Symmetry-distinct sites (fractional):
Er  0.2500  0.2500  0.2500 (multiplicity 8)
Zn  0.0000  0.0000  0.0000 (multiplicity 4)
In  0.0000  0.0000  0.5000 (multiplicity 4)

# 17
First-principles (PBE) data for a relaxed structure of LiBeH3, as listed in Materials Project.

Cell: 9.1907 3.8790 5.1289 Å, 90.00 100.04 90.00°
Space group C2 (No. 5)
Symmetry-distinct sites (fractional):
Li  0.1245  0.0000  0.3666 (multiplicity 4)
Be  0.2238  0.9460  0.8514 (multiplicity 4)
H  0.0781  0.0113  0.7253 (multiplicity 4)
H  0.1767  0.5095  0.3281 (multiplicity 4)
H  0.2334  0.5725  0.8829 (multiplicity 4)

Calculated values
Energy above the most stable polymorph in this dataset   0.0059 eV per atom

no.,formation enthalpy at 0 K (meV/atom)
1,-1252
2,-2292
3,-838
4,-422
5,-1047
6,-335
7,-342
8,-441
9,-2645
10,-445
11,-563
12,-3
13,-3173
14,-2499
15,-571
16,-391
17,-323